*A*
A relaxed BaNb8O14 crystal. Source: the Materials Project, functional PBE.

Structure (CIF):
```
data_BaNb8O14
_chemical_formula_sum 'Ba2 Nb16 O28'
_space_group_name_H-M_alt 'P b a m'
_space_group_IT_number 55
_space_group_name_Hall '-P 2 2ab'
_cell_length_a 9.5086
_cell_length_b 10.4068
_cell_length_c 6.0248
_cell_angle_alpha 90.00
_cell_angle_beta 90.00
_cell_angle_gamma 90.00
loop_
_atom_site_label
_atom_site_fract_x
_atom_site_fract_y
_atom_site_fract_z
Ba1 0.0000 0.0000 0.0000
Nb1 0.1175 0.1641 0.5000
Nb2 0.1195 0.6644 0.0000
Nb3 0.1237 0.4236 0.2315
O1 0.0000 0.0000 0.5000
O2 0.0000 0.5000 0.5000
O3 0.0053 0.2471 0.2470
O4 0.2318 0.3222 0.5000
O5 0.2436 0.0872 0.2498
O6 0.2437 0.8442 0.0000
```

*B*
A relaxed BaNb8O14 crystal. Source: the Materials Project, functional PBE.

Structure (CIF):
```
data_BaNb8O14
_chemical_formula_sum 'Ba8 Nb64 O112'
_space_group_name_H-M_alt 'P b c a'
_space_group_IT_number 61
_space_group_name_Hall '-P 2ac 2ab'
_cell_length_a 10.0526
_cell_length_b 10.2616
_cell_length_c 24.3899
_cell_angle_alpha 90.00
_cell_angle_beta 90.00
_cell_angle_gamma 90.00
loop_
_atom_site_label
_atom_site_fract_x
_atom_site_fract_y
_atom_site_fract_z
Ba1 0.0292 0.0212 0.1400
Nb1 0.0959 0.6060 0.1803
Nb2 0.1077 0.5904 0.8205
Nb3 0.1142 0.5807 0.9339
Nb4 0.1165 0.6530 0.4959
Nb5 0.1177 0.5874 0.0654
Nb6 0.1245 0.1717 0.3860
Nb7 0.1310 0.1463 0.6188
Nb8 0.1495 0.1484 0.7536
O1 0.0000 0.0000 0.0000
O2 0.0000 0.0000 0.5000
O3 0.0030 0.2418 0.9396
O4 0.0031 0.5009 0.7582
O5 0.0035 0.2425 0.0619
O6 0.0398 0.2315 0.6875
O7 0.0431 0.2361 0.8156
O8 0.1959 0.7462 0.7541
O9 0.2109 0.0078 0.8017
O10 0.2200 0.6851 0.9988
O11 0.2201 0.6905 0.8784
O12 0.2302 0.0509 0.6851
O13 0.2307 0.6833 0.1241
O14 0.2385 0.5699 0.5602
O15 0.2412 0.5742 0.4392
```

On energetic grounds, *A* is preferred over the next structure by 0.093 eV/atom.

*A*
A relaxed BaYNbSnO6 crystal. Source: the Materials Project, functional PBE.

Structure (CIF):
```
data_BaYNbSnO6
_chemical_formula_sum 'Ba4 Y4 Nb4 Sn4 O24'
_space_group_name_H-M_alt 'F -4 3 m'
_space_group_IT_number 216
_space_group_name_Hall 'F -4 2 3'
_cell_length_a 8.4982
_cell_length_b 8.4982
_cell_length_c 8.4982
_cell_angle_alpha 90.00
_cell_angle_beta 90.00
_cell_angle_gamma 90.00
loop_
_atom_site_label
_atom_site_fract_x
_atom_site_fract_y
_atom_site_fract_z
Ba1 0.0000 0.0000 0.0000
Y1 0.2500 0.2500 0.2500
Nb1 0.2500 0.2500 0.7500
Sn1 0.0000 0.0000 0.5000
O1 0.0132 0.2500 0.7500
```

*B*
A relaxed BaYNbSnO6 crystal. Source: the Materials Project, functional PBE.

Structure (CIF):
```
data_BaYNbSnO6
_chemical_formula_sum 'Ba4 Y4 Nb4 Sn4 O24'
_space_group_name_H-M_alt 'P 2 2 2'
_space_group_IT_number 16
_space_group_name_Hall 'P 2 2'
_cell_length_a 8.4363
_cell_length_b 8.4421
_cell_length_c 8.4904
_cell_angle_alpha 90.00
_cell_angle_beta 90.00
_cell_angle_gamma 90.00
loop_
_atom_site_label
_atom_site_fract_x
_atom_site_fract_y
_atom_site_fract_z
Ba1 0.0000 0.0000 0.0000
Ba2 0.0000 0.0000 0.5000
Ba3 0.0000 0.5000 0.0000
Ba4 0.5000 0.5000 0.5000
Y1 0.2553 0.2507 0.2504
Nb1 0.2516 0.2478 0.7490
Sn1 0.0000 0.5000 0.5000
Sn2 0.5000 0.0000 0.0000
Sn3 0.5000 0.0000 0.5000
Sn4 0.5000 0.5000 0.0000
O1 0.0141 0.2696 0.7789
O2 0.2160 0.2914 0.5148
O3 0.2228 0.0133 0.7257
O4 0.2840 0.2136 0.9859
O5 0.2905 0.4842 0.7881
O6 0.4850 0.2157 0.7022
```

On energetic grounds, *B* is preferred over the next structure by 0.040 eV/atom.

*A*
A relaxed Ba2Sr3Nb10O30 crystal. Source: the Materials Project, functional PBE.

Structure (CIF):
```
data_Ba2Sr3Nb10O30
_chemical_formula_sum 'Ba2 Sr3 Nb10 O30'
_space_group_name_H-M_alt 'P 1'
_space_group_IT_number 1
_space_group_name_Hall 'P 1'
_cell_length_a 4.0646
_cell_length_b 12.6994
_cell_length_c 12.7010
_cell_angle_alpha 90.13
_cell_angle_beta 90.02
_cell_angle_gamma 90.05
loop_
_atom_site_label
_atom_site_fract_x
_atom_site_fract_y
_atom_site_fract_z
Ba1 0.0000 0.0000 0.0000
Ba2 0.0006 0.8382 0.4953
Sr1 0.0025 0.1690 0.6692
Sr2 0.0028 0.6685 0.1694
Sr3 0.0143 0.4943 0.8389
Nb1 0.5100 0.8802 0.2449
Nb2 0.5109 0.2474 0.8804
Nb3 0.5114 0.9571 0.7439
Nb4 0.5126 0.7427 0.9564
Nb5 0.5155 0.0951 0.4557
Nb6 0.5161 0.4565 0.0931
Nb7 0.5183 0.5866 0.3782
Nb8 0.5188 0.3784 0.5881
Nb9 0.5219 0.6641 0.6679
Nb10 0.5302 0.1716 0.1711
O1 0.4693 0.5069 0.6798
O2 0.4690 0.6568 0.8262
O3 0.4701 0.3030 0.7349
O4 0.4696 0.6053 0.0300
O5 0.4707 0.0256 0.6043
O6 0.4709 0.7354 0.3072
O7 0.4713 0.8060 0.1026
O8 0.4722 0.1020 0.8070
O9 0.4733 0.1641 0.3237
O10 0.4727 0.3241 0.1620
O11 0.4732 0.6725 0.5117
O12 0.4733 0.8214 0.6647
O13 0.4744 0.1622 0.0094
O14 0.4735 0.2291 0.5371
O15 0.4744 0.5357 0.2295
O16 0.4751 0.0099 0.1611
O17 0.4761 0.4558 0.4570
O18 0.4763 0.8868 0.8880
O19 0.4769 0.3957 0.9407
O20 0.4779 0.9470 0.3894
O21 0.9753 0.0833 0.4711
O22 0.9752 0.3689 0.5977
O23 0.9754 0.4700 0.0811
O24 0.9753 0.5968 0.3690
O25 0.9758 0.7482 0.9657
O26 0.9765 0.8703 0.2475
O27 0.9762 0.9656 0.7488
O28 0.9765 0.2495 0.8717
O29 0.9787 0.6650 0.6694
O30 0.9796 0.1609 0.1611
```

*B*
A relaxed Ba2Sr3Nb10O30 crystal. Source: the Materials Project, functional PBE.

Structure (CIF):
```
data_Ba2Sr3Nb10O30
_chemical_formula_sum 'Ba2 Sr3 Nb10 O30'
_space_group_name_H-M_alt 'P 1 2 1'
_space_group_IT_number 3
_space_group_name_Hall 'P 2y'
_cell_length_a 12.6606
_cell_length_b 4.0642
_cell_length_c 12.6635
_cell_angle_alpha 90.00
_cell_angle_beta 90.34
_cell_angle_gamma 90.00
loop_
_atom_site_label
_atom_site_fract_x
_atom_site_fract_y
_atom_site_fract_z
Ba1 0.1687 0.0000 0.3233
Sr1 0.3207 0.9807 0.8317
Sr2 0.5000 0.9988 0.5000
Nb1 0.0000 0.4822 0.5000
Nb2 0.0727 0.4830 0.7959
Nb3 0.2058 0.4834 0.0719
Nb4 0.2888 0.4902 0.5834
Nb5 0.4201 0.4917 0.2887
Nb6 0.5000 0.4830 0.0000
O1 0.0000 0.0229 0.5000
O2 0.0017 0.5309 0.3440
O3 0.0687 0.5291 0.1481
O4 0.0897 0.0274 0.7905
O5 0.1452 0.5362 0.9323
O6 0.1585 0.5278 0.4951
O7 0.2090 0.0279 0.0859
O8 0.2307 0.5256 0.7276
O9 0.2797 0.5275 0.2217
O10 0.2993 0.0253 0.5843
O11 0.3430 0.5342 0.9939
O12 0.3616 0.5308 0.4351
O13 0.4187 0.0263 0.2997
O14 0.4366 0.5334 0.6345
O15 0.4912 0.5323 0.8408
O16 0.5000 0.0254 0.0000
```

On energetic grounds, *A* is preferred over the next structure by 0.007 eV/atom.